NdTa7O19 | PBE | optimized geometry

abc: 6.2908 6.2908 20.1539
angles: 90.00 90.00 120.00
Atoms (fractional coordinates):
O: 0.2502 0.9584 0.7500
Ta: 0.3333 0.6667 0.5000
Ta: 0.0259 0.3347 0.8441
Ta: 0.6653 0.6912 0.6559
Ta: 0.0259 0.3347 0.6559
O: 0.2502 0.2919 0.2500
O: 0.2868 0.3845 0.4432
O: 0.0000 0.0000 0.8680
O: 0.9116 0.5784 0.6533
O: 0.2868 0.9023 0.9432
Nd: 0.0000 0.0000 0.5000
Ta: 0.3333 0.6667 0.0000
O: 0.7081 0.9584 0.2500
O: 0.0977 0.7132 0.4432
O: 0.4216 0.0884 0.1533
O: 0.0000 0.0000 0.6320
Ta: 0.0259 0.6912 0.3441
O: 0.0977 0.7132 0.0568
O: 0.4216 0.3332 0.8467
O: 0.0000 0.0000 0.1320
O: 0.3333 0.6667 0.3329
Ta: 0.3088 0.9741 0.8441
O: 0.4216 0.3332 0.6533
O: 0.3333 0.6667 0.8329
O: 0.3333 0.6667 0.1671
O: 0.0416 0.2919 0.7500
O: 0.4216 0.0884 0.3467
O: 0.0416 0.7498 0.2500
O: 0.6155 0.7132 0.9432
O: 0.7081 0.7498 0.7500
O: 0.0000 0.0000 0.3680
Ta: 0.3088 0.3347 0.3441
O: 0.2868 0.3845 0.0568
O: 0.6668 0.0884 0.6533
O: 0.6155 0.9023 0.4432
Ta: 0.6653 0.9741 0.1559
O: 0.0977 0.3845 0.5568
Ta: 0.6653 0.9741 0.3441
O: 0.6668 0.5784 0.3467
O: 0.9116 0.3332 0.3467
O: 0.6155 0.7132 0.5568
Ta: 0.3088 0.3347 0.1559
Nd: 0.0000 0.0000 0.0000
O: 0.2868 0.9023 0.5568
O: 0.6668 0.0884 0.8467
Ta: 0.6653 0.6912 0.8441
Ta: 0.3088 0.9741 0.6559
O: 0.6668 0.5784 0.1533
O: 0.0977 0.3845 0.9432
O: 0.3333 0.6667 0.6671
O: 0.9116 0.3332 0.1533
Ta: 0.0259 0.6912 0.1559
O: 0.9116 0.5784 0.8467
O: 0.6155 0.9023 0.0568

Energy above the most stable polymorph in this dataset   0.000 eV/atom
Uncorrected energy   -9.670 eV/atom
Space group   P-6c2, No. 188
Formation energy from the elements   -8912.6 kJ/mol of formula units

***

K2RbGaBr6 | PBE | optimized geometry

abc: 8.1788 8.1788 8.1788
angles: 60.00 60.00 60.00
Atoms (fractional coordinates):
Br: 0.2216 0.7784 0.2216
K: 0.2500 0.2500 0.2500
Ga: 0.0000 0.0000 0.0000
Br: 0.2216 0.2216 0.7784
Br: 0.7784 0.7784 0.2216
Br: 0.2216 0.7784 0.7784
Br: 0.7784 0.2216 0.7784
Br: 0.7784 0.2216 0.2216
K: 0.7500 0.7500 0.7500
Rb: 0.5000 0.5000 0.5000

Uncorrected energy   -2.888 eV/atom
Space group   Fm-3m, No. 225
Formation energy from the elements   -1547.1 kJ/mol of formula units

***

Na6CaTa5Si6P3O36 | PBE | optimized geometry

abc: 9.0057 9.0057 22.8487
angles: 89.92 90.08 120.06
Atoms (fractional coordinates):
O: 0.0258 0.1906 0.9082
O: 0.3055 0.8328 0.9711
Si: 0.3359 0.9582 0.9161
O: 0.8519 0.3560 0.9256
O: 0.8445 0.5476 0.7508
O: 0.4664 0.3744 0.1465
Ca: 0.6724 0.3332 0.6835
O: 0.1811 0.0065 0.3057
O: 0.4757 0.1669 0.5279
Ta: 0.0023 0.0008 0.1439
O: 0.8128 0.8326 0.9083
P: 0.2769 0.2870 0.7520
O: 0.1674 0.1872 0.4083
O: 0.8042 0.9701 0.6928
O: 0.0226 0.8333 0.4067
O: 0.2896 0.8254 0.2567
O: 0.3054 0.4714 0.4715
O: 0.1815 0.0235 0.5907
O: 0.1856 0.1731 0.8055
Ca: 0.6668 0.3276 0.1835
O: 0.5327 0.8383 0.4737
Si: 0.3354 0.3783 0.4164
Na: 0.0258 0.3413 0.0852
Na: 0.3761 0.3684 0.2432
P: 0.0069 0.7216 0.7527
O: 0.3376 0.4952 0.0706
O: 0.9935 0.8189 0.8057
O: 0.1650 0.9665 0.1964
O: 0.8094 0.9742 0.4082
Na: 0.6770 0.3283 0.8323
O: 0.1686 0.1966 0.6962
Si: 0.6625 0.6241 0.5846
Na: 0.9861 0.6181 0.2446
O: 0.0299 0.1958 0.1928
O: 0.8331 0.5243 0.0279
O: 0.3624 0.4976 0.3577
O: 0.9126 0.5221 0.1432
O: 0.0335 0.8350 0.6964
O: 0.5058 0.3599 0.4244
O: 0.9765 0.8185 0.0907
O: 0.8450 0.3234 0.2552
O: 0.6766 0.1550 0.7552
O: 0.1468 0.4880 0.5698
O: 0.1672 0.6945 0.4711
O: 0.5066 0.1452 0.9255
O: 0.4524 0.1555 0.2508
O: 0.5316 0.7058 0.2570
P: 0.2784 0.9931 0.2527
O: 0.8366 0.8238 0.5897
O: 0.5286 0.6946 0.9715
O: 0.4779 0.0874 0.6432
Ta: 0.3334 0.6667 0.8153
Si: 0.6212 0.9589 0.4169
Na: 0.6717 0.3230 0.3323
O: 0.9034 0.3731 0.6379
Na: 0.3465 0.6793 0.1635
Ta: 0.6623 0.3362 0.4786
Na: 0.6587 0.9742 0.5852
O: 0.1667 0.9774 0.9067
O: 0.1617 0.4673 0.9737
O: 0.1397 0.5013 0.8598
O: 0.8324 0.0071 0.8066
O: 0.8548 0.4934 0.4255
O: 0.6951 0.5268 0.5286
Ta: 0.9969 0.0029 0.8585
O: 0.2942 0.4684 0.7570
Na: 0.3207 0.6535 0.6635
Si: 0.3712 0.0377 0.5836
O: 0.5120 0.8532 0.0698
Si: 0.6217 0.6646 0.9164
O: 0.5048 0.6624 0.5706
O: 0.7015 0.1598 0.0290
Na: 0.6316 0.6239 0.7432
O: 0.1858 0.4793 0.2567
Ta: 0.3327 0.6666 0.5172
O: 0.8269 0.8144 0.3055
Si: 0.0411 0.3788 0.9169
P: 0.9638 0.3370 0.5820
Na: 0.3819 0.0139 0.7446
O: 0.1539 0.6556 0.0692
O: 0.5207 0.8142 0.7567
O: 0.6440 0.1481 0.4256
Si: 0.0013 0.2890 0.2519
Si: 0.9623 0.6288 0.0836
Ta: 0.3333 0.6666 0.3153
O: 0.6256 0.5336 0.6465
Ta: 0.6638 0.3377 0.9786
O: 0.8034 0.8314 0.1962
O: 0.1365 0.6380 0.3575
O: 0.3444 0.8461 0.5692
Si: 0.7110 0.9987 0.7519
O: 0.1762 0.1634 0.0897
O: 0.4564 0.3090 0.7507
O: 0.4732 0.3049 0.0286
Ta: 0.9992 0.9977 0.6439
Na: 0.0089 0.9988 0.4991
O: 0.9751 0.1664 0.5891
O: 0.4987 0.8603 0.3598
O: 0.6910 0.5436 0.2507
O: 0.9929 0.1676 0.3066
O: 0.6269 0.0966 0.1379
Ta: 0.3334 0.6673 0.0172
Si: 0.3759 0.3375 0.0846
O: 0.6401 0.4942 0.9244
O: 0.5024 0.6376 0.8577
Si: 0.0418 0.6641 0.4161
O: 0.8402 0.2985 0.5290
O: 0.1746 0.7104 0.7567
P: 0.6630 0.0362 0.0820
Ta: 0.9971 0.0031 0.3585
O: 0.8336 0.0249 0.0891
P: 0.7130 0.7231 0.2520
Na: 0.0012 0.9911 0.9991
O: 0.3620 0.8635 0.8575

Uncorrected energy   -7.827 eV/atom
Space group   Cc, No. 9
Formation energy from the elements   -16856.7 kJ/mol of formula units

***

Ca2ZnAs2H4O10 | PBE | optimized geometry

abc: 5.7563 5.9025 13.0777
angles: 90.00 90.00 108.27
Atoms (fractional coordinates):
H: 0.1999 0.3009 0.8518
As: 0.5631 0.2197 0.1206
Zn: 0.0000 0.0000 0.0000
O: 0.6668 0.7151 0.5516
O: 0.1668 0.7151 0.9484
O: 0.5063 0.0537 0.8234
Ca: 0.7687 0.4368 0.8771
Ca: 0.2687 0.4368 0.6229
O: 0.4219 0.5497 0.7952
O: 0.6658 0.7582 0.9618
H: 0.6999 0.3009 0.6482
H: 0.8001 0.6991 0.1482
O: 0.1658 0.7582 0.5382
Zn: 0.5000 0.0000 0.5000
O: 0.8342 0.2418 0.4618
H: 0.4994 0.9044 0.2936
O: 0.9937 0.9463 0.3234
O: 0.9219 0.5497 0.7048
As: 0.9369 0.7803 0.6206
O: 0.0781 0.4503 0.2952
H: 0.5006 0.0956 0.7064
O: 0.0063 0.0537 0.6766
O: 0.8332 0.2849 0.0516
O: 0.5781 0.4503 0.2048
O: 0.5326 0.1853 0.6381
H: 0.9994 0.9044 0.2064
H: 0.3001 0.6991 0.3518
O: 0.3342 0.2418 0.0382
H: 0.0006 0.0956 0.7936
O: 0.9674 0.8147 0.1381
O: 0.0326 0.1853 0.8619
As: 0.4369 0.7803 0.8794
O: 0.4674 0.8147 0.3619
Ca: 0.7313 0.5632 0.3771
As: 0.0631 0.2197 0.3794
Ca: 0.2313 0.5632 0.1229
O: 0.4937 0.9463 0.1766
O: 0.3332 0.2849 0.4484

Uncorrected energy   -5.779 eV/atom
Space group   P2_1/c, No. 14
Formation energy from the elements   -3765.4 kJ/mol of formula units

***

Na4Ga3Si3BrO12 | PBE | optimized geometry

abc: 9.1082 9.1082 9.1082
angles: 90.00 90.00 90.00
Atoms (fractional coordinates):
Na: 0.8191 0.1809 0.8191
Si: 0.0000 0.2500 0.5000
O: 0.1524 0.5687 0.8645
Si: 0.5000 0.0000 0.7500
O: 0.5687 0.1355 0.8476
O: 0.0687 0.3476 0.6355
O: 0.8476 0.4313 0.8645
O: 0.1355 0.1524 0.4313
O: 0.3476 0.3645 0.9313
Na: 0.3191 0.3191 0.6809
Ga: 0.2500 0.0000 0.5000
Na: 0.3191 0.6809 0.3191
O: 0.6524 0.3645 0.0687
O: 0.3645 0.9313 0.3476
O: 0.9313 0.6524 0.6355
Na: 0.6809 0.6809 0.6809
O: 0.8476 0.5687 0.1355
Na: 0.8191 0.8191 0.1809
O: 0.8645 0.8476 0.4313
Na: 0.1809 0.8191 0.8191
Na: 0.6809 0.3191 0.3191
O: 0.4313 0.1355 0.1524
O: 0.8645 0.1524 0.5687
O: 0.1524 0.4313 0.1355
O: 0.1355 0.8476 0.5687
Ga: 0.0000 0.5000 0.7500
O: 0.3476 0.6355 0.0687
O: 0.5687 0.8645 0.1524
O: 0.4313 0.8645 0.8476
O: 0.6524 0.6355 0.9313
O: 0.0687 0.6524 0.3645
Si: 0.2500 0.5000 0.0000
O: 0.6355 0.0687 0.3476
Ga: 0.5000 0.7500 0.0000
Br: 0.5000 0.5000 0.5000
O: 0.9313 0.3476 0.3645
Si: 0.0000 0.7500 0.5000
Ga: 0.0000 0.5000 0.2500
Br: 0.0000 0.0000 0.0000
O: 0.3645 0.0687 0.6524
O: 0.6355 0.9313 0.6524
Ga: 0.5000 0.2500 0.0000
Na: 0.1809 0.1809 0.1809
Si: 0.5000 0.0000 0.2500
Ga: 0.7500 0.0000 0.5000
Si: 0.7500 0.5000 0.0000

Uncorrected energy   -6.266 eV/atom
Space group   P-43n, No. 218
Formation energy from the elements   -5857.7 kJ/mol of formula units